Li7Y7Zr9S32 r2SCAN relaxed; formation energy from the elements = -1955 meV/atom; calculated volume = 1284.1 Å³/cell
1.0
-1.817 -6.195 -4.126
2.165 -6.953 2.564
-21.293 -5.890 11.894
Li Y Zr S
7 7 9 32
Direct
0.691 0.682 0.936 Li
0.002 0.001 0.000 Li
0.436 0.437 0.688 Li
0.501 0.502 0.500 Li
0.935 0.937 0.188 Li
0.185 0.184 0.441 Li
0.253 0.250 0.249 Li
0.965 0.472 0.595 Y
0.217 0.720 0.843 Y
0.467 0.970 0.596 Y
0.218 0.719 0.344 Y
0.719 0.219 0.344 Y
0.971 0.469 0.092 Y
0.472 0.968 0.093 Y
0.350 0.340 0.967 Zr
0.218 0.214 0.842 Zr
0.725 0.213 0.841 Zr
0.843 0.845 0.470 Zr
0.088 0.097 0.720 Zr
0.962 0.967 0.596 Zr
0.596 0.594 0.219 Zr
0.719 0.719 0.345 Zr
0.472 0.469 0.093 Zr
0.914 0.383 0.786 S
0.377 0.933 0.782 S
0.059 0.506 0.906 S
0.523 0.053 0.903 S
0.533 0.506 0.905 S
0.262 0.273 0.662 S
0.410 0.387 0.787 S
0.900 0.932 0.782 S
0.025 0.048 0.901 S
0.791 0.795 0.653 S
0.134 0.680 0.532 S
0.676 0.136 0.532 S
0.798 0.262 0.658 S
0.254 0.806 0.659 S
0.019 0.019 0.409 S
0.144 0.146 0.538 S
0.895 0.895 0.286 S
0.665 0.672 0.529 S
0.420 0.420 0.277 S
0.542 0.542 0.402 S
0.885 0.429 0.281 S
0.429 0.883 0.281 S
0.552 0.009 0.406 S
0.762 0.304 0.155 S
0.305 0.758 0.155 S
0.008 0.554 0.407 S
0.773 0.767 0.158 S
0.647 0.645 0.034 S
0.174 0.166 0.026 S
0.293 0.292 0.150 S
0.638 0.178 0.030 S
0.185 0.632 0.029 S